1.
Na14Fe2O9 | GGA+U | optimized geometry

Values from the calculation:
formation enthalpy at 0 K	-1.473	eV per atom
E	-4.24	eV per atom

a = 6.6737 Å, b = 6.7102 Å, c = 9.4273 Å
α = 89.65°, β = 89.26°, γ = 60.39°
Closest atoms and distances in Å follow each position.
Fractional coordinates of all 25 atoms:
Na  0.6391  0.3221  0.0929  4 O 2.36-2.46
Na  0.3144  0.6238  0.4072  4 O 2.37-2.43
Na  0.9997  0.0000  0.7478  4 O 2.38-2.40
Na  0.6864  0.3746  0.5930  4 O 2.38-2.43
O  0.3357  0.3359  0.9587  1 Fe 2.06
O  0.6994  0.3575  0.3370  1 Fe 2.11, 1 Na 2.35
O  0.9989  0.0014  0.9998  8 Na 2.38-2.46
Na  0.6778  0.9619  0.9081  4 O 2.36-2.46
Na  0.9343  0.6891  0.5924  4 O 2.35-2.42
Na  0.0374  0.6409  0.0920  4 O 2.38-2.47
O  0.0581  0.3028  0.6607  1 Fe 2.07
O  0.3598  0.9470  0.3343  1 Fe 2.11, 2 Na 2.34-2.36
O  0.3026  0.6419  0.6644  1 Fe 2.11, 1 Na 2.34
O  0.6625  0.6684  0.0412  1 Fe 2.06
O  0.6395  0.0513  0.6644  1 Fe 2.12, 3 Na 2.35-2.37
Na  0.9609  0.3612  0.9075  4 O 2.39-2.48
O  0.9444  0.6934  0.3394  1 Fe 2.08
Na  0.6235  0.0653  0.4088  4 O 2.35-2.44
Na  0.0004  0.9993  0.2520  4 O 2.38-2.40
Na  0.3602  0.6804  0.9079  4 O 2.36-2.46
Na  0.3780  0.9315  0.5905  4 O 2.34-2.44
Fe  0.6703  0.6667  0.2596  4 O 2.06-2.11
Na  0.0679  0.3085  0.4083  4 O 2.34-2.42
Fe  0.3289  0.3333  0.7407  4 O 2.06-2.12
Na  0.3197  0.0419  0.0912  4 O 2.36-2.46

2.
Na8FeO6 | GGA+U | optimized geometry

Values from the calculation:
formation enthalpy at 0 K	-1.537	eV per atom
E	-4.36	eV per atom

a = 6.3102 Å, b = 6.3102 Å, c = 12.7432 Å
α = 88.75°, β = 88.75°, γ = 60.71°
Closest atoms and distances in Å follow each position.
Fractional coordinates of all 30 atoms:
Na  0.7067  0.2895  0.7716  4 O 2.31-2.47
Na  0.6639  0.6683  0.4124  4 O 2.32-2.43
Na  0.3295  0.3337  0.9123  4 O 2.33-2.43
Na  0.3882  0.0035  0.1233  4 O 2.29-2.46
O  0.3367  0.3286  0.7216  7 Na 2.32-2.43
O  0.9973  0.0106  0.1477  1 Fe 1.94
Na  0.6111  0.3936  0.1234  4 O 2.29-2.47
O  0.7269  0.0008  0.4475  1 Fe 1.86
Na  0.0017  0.6141  0.1227  4 O 2.32-2.52
O  0.7140  0.2731  0.9529  1 Fe 1.86
Na  0.6683  0.6639  0.9124  4 O 2.32-2.43
Fe  0.0030  0.9994  0.4957  4 O 1.85-1.94
O  0.0008  0.7269  0.9475  1 Fe 1.86
Na  0.6141  0.0017  0.6227  4 O 2.32-2.52
Na  0.3337  0.3295  0.4123  4 O 2.33-2.43
O  0.6645  0.6697  0.2214  7 Na 2.32-2.43
O  0.2890  0.9866  0.9532  1 Fe 1.85
O  0.6697  0.6645  0.7214  7 Na 2.32-2.43
Na  0.2982  0.9925  0.7720  4 O 2.31-2.42
O  0.9866  0.2890  0.4532  1 Fe 1.85
Na  0.2895  0.7067  0.2716  4 O 2.31-2.47
O  0.2731  0.7140  0.4529  1 Fe 1.86
O  0.0106  0.9973  0.6477  1 Fe 1.94
Na  0.9925  0.2982  0.2720  4 O 2.31-2.42
Na  0.7030  0.0037  0.2674  4 O 2.30-2.39
Na  0.3936  0.6111  0.6234  4 O 2.29-2.47
Fe  0.9994  0.0030  0.9957  4 O 1.85-1.94
O  0.3286  0.3367  0.2216  7 Na 2.32-2.43
Na  0.0035  0.3882  0.6233  4 O 2.29-2.46
Na  0.0037  0.7030  0.7674  4 O 2.30-2.39

3.
Na7Fe2O8 | GGA+U | optimized geometry

Values from the calculation:
formation enthalpy at 0 K	-1.543	eV per atom
excess energy over the best structure of this formula in the dataset	0.006	eV per atom
E	-4.82	eV per atom

a = 5.8012 Å, b = 9.2267 Å, c = 18.0408 Å
α = 90.26°, β = 91.07°, γ = 89.78°
Closest atoms and distances in Å follow each position.
Fractional coordinates of all 68 atoms:
O  0.0940  0.8534  0.9881  1 Fe 1.79
Fe  0.2890  0.7186  0.0229  4 O 1.77-1.80
Fe  0.2840  0.1730  0.2030  4 O 1.74-1.79
Na  0.9081  0.6612  0.6100  4 O 2.29-2.49
Na  0.1216  0.5011  0.2184  4 O 2.27-2.50
Na  0.7294  0.5526  0.4585  4 O 2.31-2.48
O  0.4600  0.1841  0.9439  1 Fe 1.80
O  0.7960  0.3648  0.8935  1 Fe 1.77
O  0.5400  0.8159  0.0561  1 Fe 1.80
Na  0.7292  0.9469  0.9578  4 O 2.31-2.48
O  0.4565  0.5847  0.2700  1 Fe 1.76
Na  0.2708  0.0531  0.0422  4 O 2.31-2.48
O  0.1303  0.2457  0.7719  1 Fe 1.73
O  0.7578  0.4140  0.0473  1 Fe 1.78
Na  0.2221  0.6978  0.3656  4 O 2.38-2.59
O  0.2050  0.8669  0.6052  1 Fe 1.75
O  0.6311  0.6835  0.8527  1 Fe 1.74
O  0.6401  0.8166  0.3533  1 Fe 1.74
Na  0.5683  0.9584  0.6363  4 O 2.29-2.54
Fe  0.2848  0.3290  0.7034  4 O 1.73-1.77
O  0.9021  0.3519  0.5124  1 Fe 1.76
O  0.7950  0.1331  0.3948  1 Fe 1.75
Na  0.1741  0.1006  0.5390  4 O 2.33-2.47
Na  0.8259  0.8994  0.4610  4 O 2.33-2.47
Fe  0.7130  0.2191  0.4769  4 O 1.75-1.81
O  0.1164  0.4741  0.6682  1 Fe 1.77
Na  0.5706  0.5416  0.1365  4 O 2.28-2.54
Na  0.1768  0.3986  0.0395  4 O 2.35-2.49
Na  0.0931  0.1595  0.8895  5 O 2.28-2.56
Na  0.7760  0.1982  0.1355  5 O 2.41-2.61
O  0.8842  0.7465  0.7292  1 Fe 1.74
O  0.8697  0.7543  0.2281  1 Fe 1.73
O  0.0979  0.6481  0.4876  1 Fe 1.76
Na  0.7779  0.3022  0.6344  4 O 2.38-2.59
Na  0.8784  0.4989  0.7816  4 O 2.27-2.50
Fe  0.7152  0.6710  0.2966  4 O 1.73-1.77
O  0.2448  0.9124  0.4526  1 Fe 1.77
Na  0.8232  0.6014  0.9605  4 O 2.35-2.49
Na  0.4294  0.4584  0.8635  4 O 2.28-2.54
Na  0.6043  0.1588  0.8131  4 O 2.40-2.62
Na  0.3910  0.6619  0.6877  4 O 2.38-2.63
Na  0.2240  0.8018  0.8645  5 O 2.41-2.61
O  0.2422  0.5860  0.9527  1 Fe 1.78
Na  0.3957  0.8412  0.1869  4 O 2.40-2.62
O  0.8892  0.9733  0.8319  1 Fe 1.79
O  0.5439  0.0876  0.2307  1 Fe 1.76
O  0.1108  0.0267  0.1681  1 Fe 1.79
Na  0.1203  0.9972  0.7185  4 O 2.28-2.48
Na  0.0919  0.3388  0.3900  4 O 2.29-2.49
O  0.9060  0.1466  0.0119  1 Fe 1.79
O  0.8836  0.5259  0.3318  1 Fe 1.77
O  0.7552  0.0876  0.5474  1 Fe 1.77
O  0.4561  0.9124  0.7693  1 Fe 1.76
O  0.5373  0.6828  0.5568  1 Fe 1.81
Fe  0.7110  0.2814  0.9771  4 O 1.77-1.80
O  0.3689  0.3165  0.1473  1 Fe 1.74
O  0.3599  0.1834  0.6467  1 Fe 1.74
Na  0.4317  0.0416  0.3637  4 O 2.29-2.54
O  0.1158  0.2535  0.2708  1 Fe 1.74
Na  0.6090  0.3381  0.3123  4 O 2.38-2.63
O  0.4627  0.3172  0.4432  1 Fe 1.81
O  0.5435  0.4153  0.7300  1 Fe 1.76
O  0.2040  0.6352  0.1065  1 Fe 1.77
Fe  0.7160  0.8270  0.7970  4 O 1.74-1.79
Fe  0.2870  0.7809  0.5231  4 O 1.75-1.81
Na  0.8797  0.0028  0.2815  4 O 2.28-2.48
Na  0.9069  0.8405  0.1105  5 O 2.28-2.56
Na  0.2706  0.4474  0.5415  4 O 2.31-2.48

4.
Na10Fe4O9 | GGA+U | optimized geometry

Values from the calculation:
formation enthalpy at 0 K	-1.503	eV per atom
E	-4.83	eV per atom

a = 8.8006 Å, b = 8.8006 Å, c = 8.8244 Å
α = 77.26°, β = 77.26°, γ = 78.08°
Closest atoms and distances in Å follow each position.
Fractional coordinates of all 46 atoms:
Na  0.6915  0.1460  0.7458  3 O 2.26-2.38
Na  0.7298  0.9899  0.2696  3 O 2.35-2.63
Na  0.2839  0.2839  0.8487  4 O 2.30-2.51
O  0.7193  0.4002  0.7231  2 Fe 2.00-2.01
Na  0.4341  0.1257  0.1160  4 O 2.32-2.40
O  0.2742  0.2742  0.5916  2 Fe 2.01
Na  0.8387  0.2204  0.3915  3 O 2.24-2.35
O  0.6952  0.0072  0.0095  1 Fe 1.94
Na  0.5581  0.8725  0.8634  4 O 2.39-2.54
Na  0.9948  0.2614  0.7357  4 O 2.33-2.52
Fe  0.5358  0.8233  0.5321  4 O 2.00-2.10
Na  0.8806  0.8806  0.5685  4 O 2.30-2.40
O  0.6110  0.6110  0.0099  2 Fe 2.10-2.12
O  0.3026  0.6137  0.2971  2 Fe 2.00-2.02, 1 Na 2.24
Na  0.8725  0.5581  0.8634  4 O 2.39-2.54
Na  0.1257  0.4341  0.1160  4 O 2.32-2.40
O  0.0072  0.6952  0.0095  1 Fe 1.94
Fe  0.5323  0.5323  0.8346  4 O 2.01-2.12
Fe  0.4673  0.4673  0.1788  4 O 2.00-2.10
Na  0.5020  0.5020  0.4959  3 O 2.54-2.65
Na  0.1460  0.6915  0.7458  3 O 2.26-2.38
Fe  0.8233  0.5358  0.5321  4 O 2.00-2.10
O  0.4002  0.7193  0.7231  2 Fe 2.00-2.01
O  0.3922  0.3922  0.0057  2 Fe 2.07-2.08, 1 Na 2.30
Na  0.7377  0.2676  0.0196  3 O 2.34-2.51
Na  0.2676  0.7377  0.0196  3 O 2.34-2.51
O  0.0000  0.0000  0.7120  1 Fe 1.96
O  0.0017  0.2966  0.9883  1 Fe 1.95
O  0.9924  0.4066  0.3795  2 Fe 2.10-2.12, 2 Na 2.30-2.35
Fe  0.4719  0.1729  0.4643  4 O 2.01-2.12
O  0.4066  0.9924  0.3795  2 Fe 2.10-2.12, 2 Na 2.30-2.35
Fe  0.9028  0.9028  0.9238  3 O 1.94-1.96
O  0.6948  0.6948  0.3855  2 Fe 2.03
O  0.9930  0.9930  0.3043  1 Fe 1.94
Na  0.5368  0.7980  0.1862  4 O 2.39-2.60
O  0.2966  0.0017  0.9883  1 Fe 1.95
Na  0.2614  0.9948  0.7357  4 O 2.33-2.52
O  0.0032  0.6206  0.5933  2 Fe 2.08-2.10, 2 Na 2.28-2.30
Fe  0.1729  0.4719  0.4643  4 O 2.01-2.12
Na  0.2204  0.8387  0.3915  3 O 2.24-2.35
O  0.6137  0.3026  0.2971  2 Fe 2.00-2.02, 1 Na 2.24
O  0.6206  0.0032  0.5933  2 Fe 2.08-2.10, 2 Na 2.28-2.30
Fe  0.0886  0.0886  0.0939  3 O 1.94-1.95
Na  0.1432  0.1432  0.4381  5 O 2.43-2.64
Na  0.7980  0.5368  0.1862  4 O 2.39-2.60
Na  0.9899  0.7298  0.2696  3 O 2.35-2.63